No. 1
VASP calculation (PBE) on an optimized crystal structure of Ca2B3H4ClO8.

## Properties
Formation energy from the elements in meV per atom: -2458
Uncorrected energy in eV/atom: -6.54
Mass density in g cm⁻³: 2.46
Calculated volume in Å³/cell: 757.4

Lattice parameters (Å, degrees): 8.1379 7.3221 12.7203 90.00 92.31 90.00
Space group P2_1/c (No. 14)
Inequivalent atoms, fractional coordinates:
Ca 0.0189 0.1442 0.2003 [4 per cell]
Ca 0.4031 0.6583 0.7386 [4 per cell]
B 0.1034 0.7228 0.5880 [4 per cell]
B 0.1734 0.5921 0.9313 [4 per cell]
B 0.2921 0.5013 0.1106 [4 per cell]
H 0.1486 0.2108 0.9050 [4 per cell]
H 0.2714 0.5380 0.5343 [4 per cell]
H 0.3297 0.2292 0.1223 [4 per cell]
H 0.4596 0.0711 0.4193 [4 per cell]
Cl 0.4098 0.5676 0.3876 [4 per cell]
O 0.0530 0.1672 0.8634 [4 per cell]
O 0.0784 0.7277 0.9779 [4 per cell]
O 0.1624 0.5762 0.8248 [4 per cell]
O 0.1768 0.6305 0.1541 [4 per cell]
O 0.2119 0.5557 0.5996 [4 per cell]
O 0.2703 0.1798 0.6623 [4 per cell]
O 0.2771 0.0164 0.4948 [4 per cell]
O 0.4665 0.5674 0.1403 [4 per cell]

---

No. 2
VASP calculation (PBE) on an optimized crystal structure of ScFeB4.

## Properties
Formation energy from the elements in meV per atom: -670
Uncorrected energy in eV/atom: -7.59
Size of the total moment in μB per formula unit: 0.0
Mass density in g cm⁻³: 4.62
Calculated volume in Å³/cell: 207.2

Lattice parameters (Å, degrees): 5.7675 11.1336 3.2271 90.00 90.00 90.00
Space group Pbam (No. 55)
Inequivalent atoms, fractional coordinates:
Sc 0.1284 0.1499 0.0000 [4 per cell]
Fe 0.1346 0.4106 0.0000 [4 per cell]
B 0.0230 0.6938 0.5000 [4 per cell]
B 0.1139 0.5481 0.5000 [4 per cell]
B 0.1351 0.9690 0.5000 [4 per cell]
B 0.2118 0.8147 0.5000 [4 per cell]

---

No. 3
VASP calculation (PBE) on an optimized crystal structure of VCoAs.

## Properties
Formation energy from the elements in meV per atom: -428
Uncorrected energy in eV/atom: -7.38
Mass density in g cm⁻³: 7.88
Calculated volume in Å³/cell: 155.8

Lattice parameters (Å, degrees): 6.0101 3.7288 6.9525 90.00 90.00 90.00
Space group Pnma (No. 62)
Inequivalent atoms, fractional coordinates:
V 0.0280 0.2500 0.1788 [4 per cell]
Co 0.1413 0.2500 0.5597 [4 per cell]
As 0.2412 0.7500 0.3778 [4 per cell]

---

- What is the calculated volume in the second record?
  207.2 Å³/cell

---

- What is the calculated volume in the first record?
  757.4 Å³/cell

---

What did the second record say?
VASP calculation (PBE) on an optimized crystal structure of ScFeB4.

## Properties
Formation energy from the elements in meV per atom: -670
Uncorrected energy in eV/atom: -7.59
Size of the total moment in μB per formula unit: 0.0
Mass density in g cm⁻³: 4.62
Calculated volume in Å³/cell: 207.2

Lattice parameters (Å, degrees): 5.7675 11.1336 3.2271 90.00 90.00 90.00
Space group Pbam (No. 55)
Inequivalent atoms, fractional coordinates:
Sc 0.1284 0.1499 0.0000 [4 per cell]
Fe 0.1346 0.4106 0.0000 [4 per cell]
B 0.0230 0.6938 0.5000 [4 per cell]
B 0.1139 0.5481 0.5000 [4 per cell]
B 0.1351 0.9690 0.5000 [4 per cell]
B 0.2118 0.8147 0.5000 [4 per cell]

---

- Which of these has the highest calculated volume?
  Ca2B3H4ClO8